[1]
DFT (PBE-GGA) results for Mg14ZrB after structural relaxation.

Results
space group	No. 38
E_form	2.627	eV per formula unit
offset from the most stable computed form	0.0	meV per atom
crystal system	orthorhombic
calculated total energy	-2.1878	eV/atom

Structure (POSCAR):
```
Mg14ZrB
1.0
-5.374 -3.368 0.161
4.374 -0.175 4.592
-4.637 7.624 4.707
Zr B Mg
1 1 14
Direct
0.816 0.184 0.500
0.357 0.643 0.500
0.325 0.164 0.000
0.323 0.201 0.500
0.329 0.671 0.000
0.668 0.832 0.743
0.833 0.167 0.000
0.799 0.677 0.500
0.668 0.832 0.257
0.669 0.331 0.247
0.836 0.675 0.000
0.168 0.332 0.257
0.185 0.815 0.716
0.669 0.331 0.753
0.185 0.815 0.284
0.168 0.332 0.743
```

---

[2]
DFT (PBE-GGA) results for Nb3SiO10 after structural relaxation.

Results
space group	No. 1
E_form	-39.399	eV per formula unit
crystal system	triclinic
largest piezoelectric modulus	2.01	C/m²
calculated total energy	-8.4098	eV/atom

Structure (POSCAR):
```
Nb3SiO10
1.0
-3.985 2.713 -0.075
-2.850 -4.244 1.837
3.824 1.638 5.405
Nb O Si
3 10 1
Direct
0.347 0.760 0.248
0.901 0.274 0.291
0.598 0.231 0.731
0.129 0.642 0.427
0.100 0.751 0.967
0.778 0.874 0.612
0.910 0.271 0.012
0.677 0.968 0.234
0.419 0.526 0.775
0.535 0.467 0.214
0.286 0.129 0.410
0.875 0.408 0.604
0.338 0.990 0.771
0.107 0.708 0.702
```